Record 1
DFT (PBE-GGA) results for Ba2LiUO6 after structural relaxation.

Summary:
Electronic total energy (eV for the cell shown): -147.97
Calculated density (g cm⁻³): 6.7
ΔE_f (eV per atom): -3.1379

Cell: 6.038 8.479 5.988 Å, 90.00 90.00 90.00°
Space group Pnnm (No. 58)
Unique sites:
Ba: 0.003 0.247 0.000 x4
Li: 0.000 0.000 0.500 x2
U: 0.000 0.500 0.500 x2
O: 0.014 0.743 0.500 x4
O: 0.243 0.496 0.256 x8

Record 2
DFT (PBE-GGA) results for BaLiZrO3 after structural relaxation.

Summary:
Electronic total energy (eV for the cell shown): -124.74
Calculated density (g cm⁻³): 5.4
Distance to the lowest polymorph of the same formula (eV/atom): 0.000
ΔE_f (eV per atom): -2.7368

Cell: 5.8687 5.8687 8.6986 Å, 90.00 90.00 120.00°
Space group R3m (No. 160, hexagonal axes)
Unique sites:
Ba: 0.0000 0.0000 0.0000 x3
Li: 0.0000 0.0000 0.6744 x3
Zr: 0.0000 0.0000 0.3914 x3
O: 0.1699 0.3397 0.2345 x9

Record 3
DFT (PBE-GGA) results for BaLiZrO3 after structural relaxation.

Summary:
Electronic total energy (eV for the cell shown): -40.48
Calculated density (g cm⁻³): 5.3
Distance to the lowest polymorph of the same formula (eV/atom): 0.183
ΔE_f (eV per atom): -2.5534

Cell: 4.181 4.181 5.043 Å, 90.00 90.00 90.00°
Space group P4/mmm (No. 123)
Unique sites:
Ba: 0.000 0.000 0.000 x1
Li: 0.000 0.000 0.500 x1
Zr: 0.500 0.500 0.500 x1
O: 0.000 0.500 0.500 x2
O: 0.500 0.500 0.000 x1

Record 4
DFT (PBE-GGA) results for Ba3Li4Sb4 after structural relaxation.

Summary:
Electronic total energy (eV for the cell shown): -79.25
Calculated density (g cm⁻³): 4.8
ΔE_f (eV per atom): -0.9531

Cell: 5.060 7.680 16.606 Å, 90.00 90.00 90.00°
Space group Immm (No. 71)
Unique sites:
Ba: 0.000 0.000 0.000 x2
Ba: 0.000 0.500 0.132 x4
Li: 0.000 0.306 0.324 x8
Sb: 0.000 0.000 0.213 x4
Sb: 0.000 0.186 0.500 x4

Record 5
DFT (PBE-GGA) results for Ba2LiSi3 after structural relaxation.

Summary:
Electronic total energy (eV for the cell shown): -393.62
Calculated density (g cm⁻³): 3.7
ΔE_f (eV per atom): -0.3942

Cell: 8.760 15.231 19.557 Å, 90.00 90.00 90.00°
Space group Fddd (No. 70, origin choice 2)
Unique sites:
Ba: 0.125 0.125 0.000 x16
Ba: 0.125 0.125 0.501 x16
Li: 0.125 0.293 0.625 x16
Si: 0.112 0.296 0.379 x32
Si: 0.125 0.283 0.125 x16

Record 6
DFT (PBE-GGA) results for Ba3Li4Sn8 after structural relaxation.

Summary:
Electronic total energy (eV for the cell shown): -106.51
Calculated density (g cm⁻³): 5.3
ΔE_f (eV per atom): -0.5190

Cell: 18.746 6.779 6.900 Å, 90.00 98.75 90.00°
Space group C2/m (No. 12)
Unique sites:
Ba: 0.000 0.000 0.000 x2
Ba: 0.177 0.500 0.314 x4
Li: 0.000 0.216 0.500 x4
Li: 0.213 0.000 0.130 x4
Sn: 0.016 0.500 0.797 x4
Sn: 0.129 0.000 0.451 x4
Sn: 0.151 0.264 0.804 x8

Record 7
DFT (PBE-GGA) results for Ba2LuMgNbO6 after structural relaxation.

Summary:
Electronic total energy (eV for the cell shown): -153.81
Calculated density (g cm⁻³): 6.3
Distance to the lowest polymorph of the same formula (eV/atom): 0.000
ΔE_f (eV per atom): -2.8436

Cell: 10.317 5.954 6.672 Å, 90.00 121.13 90.00°
Space group Cm (No. 8)
Unique sites:
Ba: 0.000 0.000 0.000 x2
Ba: 0.042 0.500 0.627 x2
Lu: 0.296 0.500 0.390 x2
Mg: 0.168 0.000 0.507 x2
Nb: 0.324 0.000 0.976 x2
O: 0.050 0.500 0.179 x2
O: 0.067 0.000 0.686 x2
O: 0.308 0.240 0.173 x4
O: 0.309 0.238 0.694 x4

Record 8
DFT (PBE-GGA) results for Ba2LuMgNbO6 after structural relaxation.

Summary:
Electronic total energy (eV for the cell shown): -153.74
Calculated density (g cm⁻³): 6.5
Distance to the lowest polymorph of the same formula (eV/atom): 0.003
ΔE_f (eV per atom): -2.8403

Cell: 5.911 6.233 9.234 Å, 90.00 90.00 90.00°
Space group Immm (No. 71)
Unique sites:
Ba: 0.000 0.000 0.190 x4
Lu: 0.000 0.500 0.000 x2
Mg: 0.000 0.000 0.500 x2
Nb: 0.000 0.500 0.500 x2
O: 0.000 0.500 0.262 x4
O: 0.233 0.235 0.500 x8

Record 9
DFT (PBE-GGA) results for Ba2LuMgRuO6 after structural relaxation.

Summary:
Electronic total energy (eV for the cell shown): -148.36
Calculated density (g cm⁻³): 5.8
Distance to the lowest polymorph of the same formula (eV/atom): 0.000
ΔE_f (eV per atom): -2.6710

Cell: 10.701 6.100 6.861 Å, 90.00 121.18 90.00°
Space group Cm (No. 8)
Unique sites:
Ba: 0.000 0.000 0.000 x2
Ba: 0.076 0.500 0.719 x2
Lu: 0.273 0.500 0.299 x2
Mg: 0.349 0.000 0.031 x2
Ru: 0.201 0.000 0.563 x2
O: 0.033 0.000 0.563 x2
O: 0.045 0.500 0.095 x2
O: 0.274 0.268 0.071 x4
O: 0.308 0.251 0.587 x4

Record 10
DFT (PBE-GGA) results for Ba2LuMgRuO6 after structural relaxation.

Summary:
Electronic total energy (eV for the cell shown): -145.81
Calculated density (g cm⁻³): 6.9
Distance to the lowest polymorph of the same formula (eV/atom): 0.116
ΔE_f (eV per atom): -2.5551

Cell: 5.843 6.042 9.174 Å, 90.00 90.00 90.00°
Space group Immm (No. 71)
Unique sites:
Ba: 0.000 0.000 0.191 x4
Lu: 0.000 0.500 0.000 x2
Mg: 0.000 0.000 0.500 x2
Ru: 0.000 0.500 0.500 x2
O: 0.000 0.500 0.261 x4
O: 0.234 0.241 0.500 x8

Record 11
DFT (PBE-GGA) results for Ba2LuMgRuO6 after structural relaxation.

Summary:
Electronic total energy (eV for the cell shown): -144.22
Calculated density (g cm⁻³): 6.6
Distance to the lowest polymorph of the same formula (eV/atom): 0.188
ΔE_f (eV per atom): -2.4828

Cell: 10.306 5.936 6.520 Å, 90.00 122.81 90.00°
Space group Cm (No. 8)
Unique sites:
Ba: 0.000 0.000 0.000 x2
Ba: 0.046 0.500 0.647 x2
Lu: 0.211 0.000 0.636 x2
Mg: 0.381 0.000 0.137 x2
Ru: 0.239 0.500 0.225 x2
O: 0.229 0.259 0.441 x4
O: 0.244 0.246 0.981 x4
O: 0.473 0.500 0.447 x2
O: 0.485 0.000 0.970 x2

Record 12
DFT (PBE-GGA) results for Ba2LuMgSbO6 after structural relaxation.

Summary:
Electronic total energy (eV for the cell shown): -141.55
Calculated density (g cm⁻³): 5.4
Distance to the lowest polymorph of the same formula (eV/atom): 0.000
ΔE_f (eV per atom): -2.8290

Cell: 10.701 6.177 7.329 Å, 90.00 119.24 90.00°
Space group Cm (No. 8)
Unique sites:
Ba: 0.000 0.000 0.000 x2
Ba: 0.048 0.500 0.644 x2
Lu: 0.228 0.500 0.182 x2
Mg: 0.325 0.000 0.974 x2
Sb: 0.176 0.000 0.524 x2
O: 0.206 0.237 0.372 x4
O: 0.230 0.266 0.955 x4
O: 0.466 0.500 0.364 x2
O: 0.497 0.000 0.958 x2